1:
Sm3Er | PBE | optimized geometry

Cell: 5.087 5.087 5.087 Å, 90.00 90.00 90.00°
Sites, in units of the cell vectors:
Sm (0.000, 0.500, 0.500)
Sm (0.500, 0.000, 0.500)
Sm (0.500, 0.500, 0.000)
Er (0.000, 0.000, 0.000)

Results
Theoretical density: 7.800 Mg/m³



2:
Sm3Er | PBE | optimized geometry

Cell: 7.329 7.329 5.803 Å, 90.00 90.00 120.00°
Sites, in units of the cell vectors:
Sm (0.167, 0.333, 0.250)
Sm (0.667, 0.833, 0.250)
Sm (0.167, 0.833, 0.250)
Sm (0.833, 0.667, 0.750)
Sm (0.333, 0.167, 0.750)
Sm (0.833, 0.167, 0.750)
Er (0.333, 0.667, 0.750)
Er (0.667, 0.333, 0.250)

Results
Theoretical density: 7.608 Mg/m³



Going by the energies, 1 is most stable and the next is 11 meV/atom up.



1:
Er3Sn7 | PBE | optimized geometry

Cell: 13.430 13.430 4.410 Å, 90.00 90.00 161.03°
Sites, in units of the cell vectors:
Er (0.000, 0.000, 0.500)
Er (0.311, 0.689, 0.000)
Er (0.689, 0.311, 0.000)
Sn (0.500, 0.500, 0.000)
Sn (0.402, 0.598, 0.500)
Sn (0.598, 0.402, 0.500)
Sn (0.096, 0.904, 0.000)
Sn (0.904, 0.096, 0.000)
Sn (0.211, 0.789, 0.500)
Sn (0.789, 0.211, 0.500)

Results
Theoretical density: 8.561 Mg/m³



2:
Er3Sn7 | PBE | optimized geometry

Cell: 14.826 14.826 5.861 Å, 90.00 90.00 12.07°
Sites, in units of the cell vectors:
Er (0.000, 0.000, 0.500)
Er (0.697, 0.697, 0.000)
Er (0.303, 0.303, 0.000)
Sn (0.500, 0.500, 0.000)
Sn (0.598, 0.598, 0.500)
Sn (0.402, 0.402, 0.500)
Sn (0.900, 0.900, 0.000)
Sn (0.100, 0.100, 0.000)
Sn (0.799, 0.799, 0.500)
Sn (0.201, 0.201, 0.500)

Results
Spin magnetization: 0.0 μB/f.u.
Theoretical density: 8.219 Mg/m³



Going by the energies, 1 is most stable and the next is 363 meV/atom up.



1:
LiEuF2 | PBE | optimized geometry

Cell: 7.994 7.994 7.994 Å, 131.83 131.83 70.50°
Sites, in units of the cell vectors:
Li (0.375, 0.125, 0.250)
Li (0.875, 0.125, 0.750)
Li (0.875, 0.125, 0.250)
Li (0.875, 0.625, 0.750)
Eu (0.875, 0.625, 0.250)
Eu (0.375, 0.625, 0.750)
Eu (0.375, 0.625, 0.250)
Eu (0.375, 0.125, 0.750)
F (0.183, 0.411, 0.227)
F (0.183, 0.956, 0.773)
F (0.161, 0.433, 0.727)
F (0.567, 0.839, 0.273)
F (0.706, 0.433, 0.273)
F (0.567, 0.294, 0.727)
F (0.589, 0.817, 0.773)
F (0.044, 0.817, 0.227)

Results
Spin magnetization: 7.5 μB/f.u.
Theoretical density: 4.705 Mg/m³



2:
LiEuF2 | PBE | optimized geometry

Cell: 7.501 7.501 7.501 Å, 124.41 124.41 82.52°
Sites, in units of the cell vectors:
Li (0.875, 0.625, 0.250)
Li (0.375, 0.625, 0.750)
Li (0.375, 0.625, 0.250)
Li (0.375, 0.125, 0.750)
Eu (0.375, 0.125, 0.250)
Eu (0.875, 0.125, 0.750)
Eu (0.875, 0.125, 0.250)
Eu (0.875, 0.625, 0.750)
F (0.212, 0.422, 0.210)
F (0.212, 0.002, 0.790)
F (0.172, 0.462, 0.710)
F (0.538, 0.828, 0.290)
F (0.752, 0.462, 0.290)
F (0.538, 0.248, 0.710)
F (0.578, 0.788, 0.790)
F (0.998, 0.788, 0.210)

Results
Spin magnetization: 7.4 μB/f.u.
Theoretical density: 4.739 Mg/m³



Going by the energies, 2 is most stable and the next is 40 meV/atom up.



1:
SrEuGdSbO6 | PBE | optimized geometry

Cell: 5.978 5.978 5.978 Å, 60.00 60.00 60.00°
Sites, in units of the cell vectors:
Sr (0.250, 0.250, 0.250)
Eu (0.750, 0.750, 0.750)
Gd (0.000, 0.000, 0.000)
Sb (0.500, 0.500, 0.500)
O (0.736, 0.264, 0.264)
O (0.264, 0.736, 0.736)
O (0.736, 0.264, 0.736)
O (0.264, 0.736, 0.264)
O (0.736, 0.736, 0.264)
O (0.264, 0.264, 0.736)

Results
Spin magnetization: 0.0 μB/f.u.
Theoretical density: 6.756 Mg/m³



2:
SrEuGdSbO6 | PBE | optimized geometry

Cell: 5.868 6.003 8.390 Å, 90.07 90.33 89.97°
Sites, in units of the cell vectors:
Sr (0.987, 0.047, 0.251)
Sr (0.013, 0.953, 0.749)
Eu (0.513, 0.548, 0.248)
Eu (0.487, 0.452, 0.752)
Gd (0.000, 0.500, 0.000)
Gd (0.500, 0.000, 0.500)
Sb (0.500, 0.000, 0.000)
Sb (0.000, 0.500, 0.500)
O (0.223, 0.192, 0.952)
O (0.278, 0.690, 0.551)
O (0.777, 0.808, 0.048)
O (0.722, 0.310, 0.449)
O (0.315, 0.719, 0.950)
O (0.187, 0.222, 0.550)
O (0.685, 0.281, 0.050)
O (0.813, 0.778, 0.450)
O (0.411, 0.971, 0.233)
O (0.097, 0.476, 0.267)
O (0.589, 0.029, 0.767)
O (0.903, 0.524, 0.733)

Results
Spin magnetization: 0.0 μB/f.u.
Theoretical density: 6.907 Mg/m³



Going by the energies, 2 is most stable and the next is 77 meV/atom up.